This record from Materials Project describes an optimized crystal structure of Tb5Re2O12. The functional is r²SCAN.

Structure (POSCAR):
```
Tb5Re2O12
1.0
2.8268 6.2220 -0.0033
-2.8268 6.2220 -0.0033
0.0000 2.3272 7.1742
O Tb Re
12 5 2
direct
0.9961 0.0020 0.7944
0.0883 0.5791 0.0835
0.4060 0.9042 0.4244
0.5931 0.0995 0.5729
0.0958 0.5940 0.5756
0.9126 0.4125 0.9164
0.9005 0.4069 0.4271
0.4209 0.9117 0.9165
0.5875 0.0874 0.0836
0.9980 0.0039 0.2056
0.5013 0.4966 0.1761
0.5034 0.4987 0.8239
0.9984 0.0016 0.5000
0.3009 0.3068 0.3585
0.6863 0.6858 0.1745
0.6932 0.6991 0.6415
0.3142 0.3137 0.8255
0.7869 0.2131 0.0000
0.2168 0.7832 0.0000
```

Computed properties:
**Formation energy**: -3.1895 eV per atom
**Total magnetic moment**: 0.989 μB per formula unit
**Calculated total energy**: -20.70 eV per atom